DFT (PBE) results for a relaxed K3BaPCO7 crystal.

abc: 5.8191 7.8520 10.2443
angles: 90.00 91.24 90.00
With the nearest neighbours (Å) after each atom.
Space group P2_1/m (No. 11)
Inequivalent atoms, fractional coordinates:
1 K 0.2388 0.2500 0.4156 [2 per cell]  6 O 2.74-3.01
2 K 0.2518 0.5073 0.7537 [4 per cell]  4 O 2.66-2.91
3 Ba 0.2328 0.7500 0.1270 [2 per cell]  6 O 2.58-2.82
4 P 0.2986 0.2500 0.0944 [2 per cell]  4 O 1.56-1.57
5 C 0.2623 0.7500 0.4404 [2 per cell]  3 O 1.31
6 O 0.0607 0.7500 0.3818 [2 per cell]  1 C 1.31
7 O 0.2122 0.2500 0.9480 [2 per cell]  1 P 1.57
8 O 0.2141 0.0883 0.1679 [4 per cell]  1 P 1.56
9 O 0.2777 0.7500 0.5678 [2 per cell]  1 C 1.31
10 O 0.4327 0.7500 0.9045 [2 per cell]  1 P 1.56
11 O 0.4491 0.7500 0.3714 [2 per cell]  1 C 1.31

Results
Energy relative to the elements: -2.5899 eV per atom
Magnetic moment: 0.000 μB per atom

=====

DFT (PBE) results for a relaxed LaNb3O9 crystal.

abc: 5.6213 8.8903 8.9647
angles: 66.61 71.74 71.60
With the nearest neighbours (Å) after each atom.
Space group P1 (No. 1)
Inequivalent atoms, fractional coordinates:
1 La 0.0000 0.0000 0.0000 [1 per cell]  12 O 2.64-2.87
2 La 0.3343 0.3229 0.9998 [1 per cell]  12 O 2.60-2.87
3 Nb 0.0798 0.5809 0.2512 [1 per cell]  6 O 1.97-2.03
4 Nb 0.2531 0.7417 0.7496 [1 per cell]  6 O 1.94-2.06
5 Nb 0.4117 0.9034 0.2661 [1 per cell]  5 O 1.89-2.06
6 Nb 0.5916 0.0713 0.7420 [1 per cell]  6 O 1.91-2.12
7 Nb 0.7386 0.2533 0.2586 [1 per cell]  6 O 1.93-2.09
8 Nb 0.9190 0.4215 0.7342 [1 per cell]  5 O 1.91-2.03
9 O 0.0831 0.5694 0.7647 [1 per cell]  2 Nb 1.97-1.99
10 O 0.0873 0.0886 0.2235 [1 per cell]  2 Nb 2.06
11 O 0.1618 0.6629 0.9985 [1 per cell]  2 Nb 2.00-2.03
12 O 0.2322 0.2409 0.7753 [1 per cell]  2 Nb 1.99-2.12
13 O 0.2410 0.7607 0.2292 [1 per cell]  2 Nb 1.98-1.99
14 O 0.3255 0.8311 0.5015 [1 per cell]  2 Nb 1.89-1.99
15 O 0.3912 0.9171 0.7657 [1 per cell]  2 Nb 1.95-2.02
16 O 0.4100 0.4122 0.2321 [1 per cell]  2 Nb 1.96-1.99
17 O 0.4839 0.0152 0.9968 [1 per cell]  2 Nb 2.06-2.17
18 O 0.5655 0.5681 0.7694 [1 per cell]  2 Nb 1.94-2.01
19 O 0.5862 0.0885 0.2235 [1 per cell]  2 Nb 2.02-2.08
20 O 0.6576 0.1662 0.4992 [1 per cell]  2 Nb 1.93-1.95
21 O 0.7327 0.2424 0.7730 [1 per cell]  2 Nb 2.03-2.06
22 O 0.7581 0.7628 0.2297 [1 per cell]  2 Nb 1.96-2.01
23 O 0.8335 0.3159 0.0003 [1 per cell]  2 Nb 2.09-2.14
24 O 0.9125 0.9166 0.7690 [1 per cell]  2 Nb 1.91-2.06
25 O 0.9302 0.4123 0.2335 [1 per cell]  2 Nb 1.94-2.01
26 O 0.9933 0.4968 0.4962 [1 per cell]  2 Nb 1.91-1.97

Results
Energy relative to the elements: -3.2447 eV per atom
Magnetic moment: 0.000 μB per atom

=====

DFT (PBE) results for a relaxed CeNb2InO6 crystal.

abc: 5.6929 5.6929 8.2873
angles: 90.00 90.00 90.00
With the nearest neighbours (Å) after each atom.
Space group I-42m (No. 121)
Inequivalent atoms, fractional coordinates:
1 Ce 0.0000 0.0000 0.0000 [2 per cell]  8 O 2.55-2.85
2 Nb 0.0000 0.5000 0.2500 [4 per cell]  6 O 2.06-2.07
3 In 0.0000 0.0000 0.5000 [2 per cell]  8 O 2.67-2.85
4 O 0.0000 0.5000 0.0000 [4 per cell]  2 Nb 2.07
5 O 0.1968 0.1968 0.7596 [8 per cell]  2 Nb 2.06

Results
Energy relative to the elements: -2.7239 eV per atom
Magnetic moment: 0.113 μB per atom

=====

DFT (PBE) results for a relaxed Ta9Co2S6 crystal.

abc: 10.3592 10.3592 6.6108
angles: 90.00 90.00 120.00
With the nearest neighbours (Å) after each atom.
Space group P-62m (No. 189)
Inequivalent atoms, fractional coordinates:
1 Ta 0.0000 0.4567 0.2486 [6 per cell]  3 S 2.50-2.55
2 Ta 0.1916 0.7397 0.5000 [6 per cell]  3 S 2.39-2.52, 2 Co 2.44
3 Ta 0.2114 0.7400 0.0000 [6 per cell]  3 S 2.43-2.56, 2 Co 2.56
4 Co 0.3333 0.6667 0.2790 [4 per cell]  6 Ta 2.44-2.56
5 S 0.0000 0.2733 0.5000 [3 per cell]  4 Ta 2.39-2.52
6 S 0.0000 0.2746 0.0000 [3 per cell]  4 Ta 2.43-2.50
7 S 0.0000 0.7030 0.2379 [6 per cell]  5 Ta 2.52-2.56

Results
Energy relative to the elements: -0.9307 eV per atom

=====

DFT (PBE) results for a relaxed Ce2Sb3Rh4 crystal.

abc: 4.2858 4.2858 10.3180
angles: 90.00 90.00 90.00
With the nearest neighbours (Å) after each atom.
Space group P4mm (No. 99)
Inequivalent atoms, fractional coordinates:
1 Ce 0.0000 0.0000 0.0000 [1 per cell]  4 Rh 2.81
2 Ce 0.5000 0.5000 0.4510 [1 per cell]  8 Sb 3.28-3.42, 4 Rh 3.56
3 Sb 0.0000 0.0000 0.3301 [1 per cell]  4 Rh 2.67, 1 Sb 2.84
4 Sb 0.0000 0.0000 0.6055 [1 per cell]  4 Rh 2.63, 1 Sb 2.84
5 Sb 0.5000 0.5000 0.9038 [1 per cell]  4 Rh 2.65
6 Rh 0.0000 0.5000 0.1760 [2 per cell]  2 Sb 2.67, 2 Ce 2.81
7 Rh 0.0000 0.5000 0.7532 [2 per cell]  4 Sb 2.63-2.65

Results
Energy relative to the elements: -0.5904 eV per atom
Magnetic moment: 0.126 μB per atom

=====

DFT (PBE) results for a relaxed TiTc2W crystal.

abc: 6.2398 6.2398 6.2398
angles: 90.00 90.00 90.00
With the nearest neighbours (Å) after each atom.
Space group Fm-3m (No. 225)
Inequivalent atoms, fractional coordinates:
1 Ti 0.0000 0.0000 0.0000 [4 per cell]  8 Tc 2.70
2 Tc 0.2500 0.2500 0.2500 [8 per cell]  4 W 2.70, 4 Ti 2.70
3 W 0.0000 0.0000 0.5000 [4 per cell]  8 Tc 2.70

Results
Energy relative to the elements: -0.4008 eV per atom

=====

DFT (PBE) results for a relaxed RbV5Se8 crystal.

abc: 18.8074 3.7075 9.0207
angles: 90.00 104.09 90.00
With the nearest neighbours (Å) after each atom.
Space group C2/m (No. 12)
Inequivalent atoms, fractional coordinates:
1 Rb 0.0000 0.0000 0.0000 [2 per cell]  10 Se 3.51-3.62, 2 Rb 3.71
2 V 0.0000 0.5000 0.5000 [2 per cell]  6 Se 2.56-2.58
3 V 0.1513 0.0000 0.4903 [4 per cell]  6 Se 2.46-2.70
4 V 0.2123 0.0000 0.8460 [4 per cell]  6 Se 2.45-2.72
5 Se 0.0720 0.0000 0.6711 [4 per cell]  4 V 2.46-2.72
6 Se 0.0878 0.5000 0.3235 [4 per cell]  3 V 2.50-2.56
7 Se 0.1636 0.5000 0.9870 [4 per cell]  3 V 2.45-2.54
8 Se 0.2393 0.5000 0.6548 [4 per cell]  5 V 2.66-2.70

Results
Energy relative to the elements: -1.0514 eV per atom
Magnetic moment: 0.713 μB per atom

=====

DFT (PBE) results for a relaxed LaB2Pd2C crystal.

abc: 3.9643 3.9643 10.3841
angles: 90.00 90.00 90.00
With the nearest neighbours (Å) after each atom.
Space group I4/mmm (No. 139)
Inequivalent atoms, fractional coordinates:
1 La 0.0000 0.0000 0.0000 [2 per cell]  4 C 2.80
2 B 0.0000 0.0000 0.3576 [4 per cell]  1 C 1.48
3 Pd 0.0000 0.5000 0.2500 [4 per cell]  4 B 2.28
4 C 0.0000 0.0000 0.5000 [2 per cell]  2 B 1.48

Results
Energy relative to the elements: -0.5251 eV per atom
Magnetic moment: 0.001 μB per atom

=====

DFT (PBE) results for a relaxed SbPd6S crystal.

abc: 4.5298 4.5298 21.7524
angles: 90.00 90.00 120.00
With the nearest neighbours (Å) after each atom.
Space group R-3m (No. 166, hexagonal axes)
Inequivalent atoms, fractional coordinates:
1 Sb 0.0000 0.0000 0.0000 [3 per cell]  14 Pd 2.82-3.14
2 Pd 0.0000 0.0000 0.1295 [6 per cell]  4 Pd 2.70-2.83, 3 S 2.74, 1 Sb 2.82
3 Pd 0.0000 0.0000 0.2538 [6 per cell]  8 Pd 2.70-2.83
4 Pd 0.0000 0.0000 0.3813 [6 per cell]  1 S 2.58, 4 Pd 2.70-2.77, 3 Sb 2.82
5 S 0.0000 0.0000 0.5000 [3 per cell]  8 Pd 2.58-2.74

Results
Energy relative to the elements: -0.2114 eV per atom
Magnetic moment: 0.004 μB per atom

=====

DFT (PBE) results for a relaxed TlHO crystal.

abc: 4.4249 4.5104 22.1187
angles: 91.10 90.14 91.41
With the nearest neighbours (Å) after each atom.
Space group P1 (No. 1)
Inequivalent atoms, fractional coordinates:
1 Tl 0.0000 0.0000 0.0000 [1 per cell]  1 H 2.44, 3 O 2.68-2.70
2 Tl 0.0005 0.5227 0.8726 [1 per cell]  2 O 2.44-2.67, 1 H 2.48
3 Tl 0.3844 0.4431 0.6181 [1 per cell]  2 O 2.45-2.68, 2 H 2.52-2.74
4 Tl 0.4168 0.9439 0.7456 [1 per cell]  1 H 2.46, 2 O 2.55-2.71
5 Tl 0.4216 0.4294 0.1187 [1 per cell]  2 O 2.46-2.67, 2 H 2.47-2.71
6 Tl 0.5177 0.0520 0.3691 [1 per cell]  2 O 2.46-2.60, 2 H 2.53-2.75
7 Tl 0.9266 0.4412 0.2449 [1 per cell]  1 H 2.46, 2 O 2.54-2.66
8 Tl 0.9820 0.0146 0.4966 [1 per cell]  1 H 2.48, 3 O 2.61-2.74
9 H 0.0422 0.8211 0.3233 [1 per cell]  1 O 0.98
10 H 0.3802 0.9640 0.2248 [1 per cell]  1 O 0.98
11 H 0.4372 0.5576 0.4740 [1 per cell]  1 O 0.98
12 H 0.4911 0.5552 0.9722 [1 per cell]  1 O 0.98
13 H 0.5293 0.3243 0.8238 [1 per cell]  1 O 0.99
14 H 0.6195 0.8994 0.0773 [1 per cell]  1 O 0.98
15 H 0.6210 0.9172 0.5800 [1 per cell]  1 O 0.98
16 H 0.8814 0.4687 0.7274 [1 per cell]  1 O 0.98
17 O 0.2713 0.0077 0.2622 [1 per cell]  1 H 0.98
18 O 0.4357 0.2075 0.8565 [1 per cell]  1 H 0.99
19 O 0.4559 0.6896 0.5094 [1 per cell]  1 H 0.98
20 O 0.4906 0.6691 0.0102 [1 per cell]  1 H 0.98
21 O 0.7399 0.0354 0.6097 [1 per cell]  1 H 0.98
22 O 0.7404 0.9921 0.1102 [1 per cell]  1 H 0.98
23 O 0.7503 0.4991 0.7625 [1 per cell]  1 H 0.98
24 O 0.9314 0.7043 0.3536 [1 per cell]  1 H 0.98

Results
Energy relative to the elements: -0.9645 eV per atom
Magnetic moment: 0.000 μB per atom

=====

DFT (PBE) results for a relaxed HoGa2Ni crystal.

abc: 4.1155 10.1127 6.6427
angles: 90.00 90.00 90.00
With the nearest neighbours (Å) after each atom.
Space group Cmcm (No. 63)
Inequivalent atoms, fractional coordinates:
1 Ho 0.0000 0.0720 0.2500 [4 per cell]  3 Ni 2.85-3.02, 6 Ga 2.98-3.15
2 Ga 0.0000 0.3558 0.0543 [8 per cell]  3 Ni 2.51-2.52, 1 Ga 2.60
3 Ni 0.0000 0.2094 0.7500 [4 per cell]  6 Ga 2.51-2.52

Results
Energy relative to the elements: -0.6541 eV per atom

=====

DFT (PBE) results for a relaxed Na3SbBr6 crystal.

abc: 11.3169 11.3169 11.3169
angles: 90.00 90.00 90.00
With the nearest neighbours (Å) after each atom.
Space group Fm-3m (No. 225)
Inequivalent atoms, fractional coordinates:
1 Na 0.0000 0.0000 0.0000 [4 per cell]  6 Br 2.86
2 Na 0.2500 0.2500 0.2500 [8 per cell]  12 Br 4.00
3 Sb 0.0000 0.0000 0.5000 [4 per cell]  6 Br 2.79
4 Br 0.0000 0.0000 0.2531 [24 per cell]  1 Sb 2.79, 1 Na 2.86

Results
Energy relative to the elements: -1.3522 eV per atom
Magnetic moment: 0.000 μB per atom